No. 1
# PBE Mg2Sn, relaxed
# Formation enthalpy at 0 K, eV/atom: -0.001
# Mass density, Mg/m³: 3.79
# Magnetic moment, μB/f.u.: 0.00
# Raw total energy, Ry/atom: -0.1767
data_Mg2Sn
_chemical_formula_sum 'Mg4 Sn2'
_cell_length_a 3.2614
_cell_length_b 3.2614
_cell_length_c 15.9143
_cell_angle_alpha 90.00
_cell_angle_beta 90.00
_cell_angle_gamma 120.00
_space_group_name_H-M_alt 'P 1'
_space_group_IT_number 1
_space_group_name_Hall 'P 1'
loop_
_atom_site_label
_atom_site_fract_x
_atom_site_fract_y
_atom_site_fract_z
Mg1 0.3333 0.6667 0.9170
Mg2 0.6667 0.3333 0.7537
Mg3 0.3333 0.6667 0.2463
Mg4 0.6667 0.3333 0.0830
Sn1 0.3333 0.6667 0.5904
Sn2 0.6667 0.3333 0.4096

***

No. 2
# PBE K3ZnPCO7, relaxed
# Formation enthalpy at 0 K, eV/atom: -2.302
# Mass density, Mg/m³: 2.95
# Magnetic moment, μB/f.u.: 0.00
# Raw total energy, Ry/atom: -0.4466
data_K3ZnPCO7
_chemical_formula_sum 'K6 Zn2 P2 C2 O14'
_cell_length_a 7.0120
_cell_length_b 5.6063
_cell_length_c 9.6822
_cell_angle_alpha 89.37
_cell_angle_beta 90.00
_cell_angle_gamma 90.00
_space_group_name_H-M_alt 'P 1'
_space_group_IT_number 1
_space_group_name_Hall 'P 1'
loop_
_atom_site_label
_atom_site_fract_x
_atom_site_fract_y
_atom_site_fract_z
K1 0.2500 0.7625 0.9221
K2 0.0111 0.2586 0.7279
K3 0.4889 0.2586 0.7279
K4 0.5111 0.7414 0.2721
K5 0.9889 0.7414 0.2721
K6 0.7500 0.2375 0.0779
Zn1 0.7500 0.7740 0.6352
Zn2 0.2500 0.2260 0.3648
P1 0.2500 0.7186 0.5741
P2 0.7500 0.2814 0.4259
C1 0.7500 0.7406 0.9128
C2 0.2500 0.2594 0.0872
O1 0.2500 0.2638 0.9532
O2 0.7500 0.9423 0.8440
O3 0.7500 0.5436 0.8421
O4 0.0701 0.7594 0.6660
O5 0.4299 0.7594 0.6660
O6 0.2500 0.4527 0.5244
O7 0.7500 0.1123 0.5541
O8 0.2500 0.8877 0.4459
O9 0.7500 0.5473 0.4756
O10 0.5701 0.2406 0.3340
O11 0.9299 0.2406 0.3340
O12 0.2500 0.4564 0.1579
O13 0.2500 0.0577 0.1560
O14 0.7500 0.7362 0.0468

***

No. 3
# PBE K8Zr3Si12SnO40, relaxed
# Formation enthalpy at 0 K, eV/atom: -2.814
# Mass density, Mg/m³: 2.75
# Magnetic moment, μB/f.u.: 8.00
# Raw total energy, Ry/atom: -0.5216
data_K8Zr3Si12SnO40
_chemical_formula_sum 'K8 Zr3 Si12 Sn1 O40'
_cell_length_a 7.2468
_cell_length_b 10.3391
_cell_length_c 13.5333
_cell_angle_alpha 90.30
_cell_angle_beta 90.05
_cell_angle_gamma 90.08
_space_group_name_H-M_alt 'P 1'
_space_group_IT_number 1
_space_group_name_Hall 'P 1'
loop_
_atom_site_label
_atom_site_fract_x
_atom_site_fract_y
_atom_site_fract_z
K1 0.6559 0.2195 0.1378
K2 0.1583 0.2805 0.8631
K3 0.3434 0.7208 0.3626
K4 0.8422 0.7743 0.6356
K5 0.2170 0.4331 0.5825
K6 0.7204 0.0700 0.4187
K7 0.7813 0.9297 0.9175
K8 0.2803 0.5689 0.0814
Zr1 0.2587 0.0546 0.2924
Zr2 0.2435 0.9457 0.7911
Zr3 0.7422 0.5533 0.2087
Si1 0.2306 0.0339 0.5493
Si2 0.7312 0.4686 0.4546
Si3 0.7683 0.5278 0.9503
Si4 0.2703 0.9690 0.0484
Si5 0.0801 0.6328 0.8310
Si6 0.5842 0.8658 0.1666
Si7 0.9169 0.1377 0.6680
Si8 0.4164 0.3672 0.3347
Si9 0.5038 0.1772 0.6745
Si10 0.0020 0.3274 0.3279
Si11 0.4961 0.6682 0.8243
Si12 0.9979 0.8269 0.1725
Sn1 0.7585 0.4445 0.7101
O1 0.3131 0.7245 0.5719
O2 0.8127 0.7763 0.4280
O3 0.6841 0.2199 0.9278
O4 0.1856 0.2760 0.0719
O5 0.7780 0.5127 0.5662
O6 0.2739 0.9897 0.4377
O7 0.2280 0.0120 0.9365
O8 0.7277 0.4852 0.0622
O9 0.7463 0.4103 0.8670
O10 0.2462 0.0842 0.1319
O11 0.2544 0.9178 0.6315
O12 0.7569 0.5828 0.3704
O13 0.9429 0.2926 0.6875
O14 0.4409 0.2128 0.3158
O15 0.0597 0.7877 0.8137
O16 0.5602 0.7115 0.1847
O17 0.9985 0.5507 0.7377
O18 0.5040 0.9498 0.2586
O19 0.9997 0.0536 0.7588
O20 0.4964 0.4502 0.2427
O21 0.5984 0.6073 0.7284
O22 0.0976 0.8903 0.2681
O23 0.4050 0.1111 0.7690
O24 0.9034 0.3899 0.2323
O25 0.3690 0.1569 0.5768
O26 0.8675 0.3453 0.4257
O27 0.6268 0.6484 0.9234
O28 0.1317 0.8460 0.0744
O29 0.0173 0.0905 0.5628
O30 0.5161 0.4152 0.4401
O31 0.9813 0.5852 0.9361
O32 0.4841 0.9134 0.0615
O33 0.6984 0.1018 0.6463
O34 0.1972 0.4038 0.3558
O35 0.2990 0.5932 0.8498
O36 0.8030 0.9029 0.1451
O37 0.5299 0.3324 0.6872
O38 0.0336 0.1731 0.3145
O39 0.4656 0.8228 0.8117
O40 0.9665 0.6728 0.1851

***

No. 4
# PBE SmVSb3, relaxed
# Formation enthalpy at 0 K, eV/atom: -0.355
# Mass density, Mg/m³: 6.90
# Magnetic moment, μB/f.u.: 2.38
# Raw total energy, Ry/atom: -0.4026
# Polymorph energy (0 for the lowest one), meV/atom: 286
data_SmVSb3
_chemical_formula_sum 'Sm4 V4 Sb12'
_cell_length_a 6.2565
_cell_length_b 9.0119
_cell_length_c 9.6772
_cell_angle_alpha 90.00
_cell_angle_beta 90.00
_cell_angle_gamma 90.00
_space_group_name_H-M_alt 'P 1'
_space_group_IT_number 1
_space_group_name_Hall 'P 1'
loop_
_atom_site_label
_atom_site_fract_x
_atom_site_fract_y
_atom_site_fract_z
Sm1 0.7500 0.9710 0.6716
Sm2 0.2500 0.5290 0.6716
Sm3 0.2500 0.0290 0.3284
Sm4 0.7500 0.4710 0.3284
V1 0.0000 0.7500 0.1863
V2 0.0000 0.2500 0.8137
V3 0.5000 0.2500 0.8137
V4 0.5000 0.7500 0.1863
Sb1 0.5000 0.7500 0.4664
Sb2 0.7500 0.5035 0.7745
Sb3 0.7500 0.7852 0.9611
Sb4 0.0000 0.7500 0.4664
Sb5 0.0000 0.2500 0.5336
Sb6 0.2500 0.2148 0.0389
Sb7 0.2500 0.4965 0.2255
Sb8 0.2500 0.7148 0.9611
Sb9 0.2500 0.9965 0.7745
Sb10 0.5000 0.2500 0.5336
Sb11 0.7500 0.0035 0.2255
Sb12 0.7500 0.2852 0.0389